A geometry-optimized ZnSi4SnO10 structure, computed with GGA-PBE.

Summary:
energy relative to the elements	-2.79	eV/atom
calculated volume	878	Å³ per cell

a = 7.6386 Å, b = 7.6386 Å, c = 15.0524 Å
α = 90.00°, β = 90.00°, γ = 90.00°
With the nearest neighbours (Å) after each atom.
Space group P4/ncc (No. 130, origin choice 2)
Unique sites:
1 Zn 0.2500 0.7500 0.0000 x4  4 O 2.04
2 Si 0.0120 0.6147 0.1485 x16  4 O 1.63
3 Sn 0.2500 0.2500 0.0991 x4  4 O 2.42
4 O 0.0167 0.1757 0.8650 x16  2 Si 1.63
5 O 0.0495 0.6558 0.4240 x16  1 Si 1.63
6 O 0.0760 0.5760 0.2500 x8  2 Si 1.63



A geometry-optimized Zn3Si3Sn2O12 structure, computed with GGA-PBE.

Summary:
energy relative to the elements	-2.19	eV/atom
calculated volume	1888	Å³ per cell

a = 12.3591 Å, b = 12.3591 Å, c = 12.3591 Å
α = 90.00°, β = 90.00°, γ = 90.00°
With the nearest neighbours (Å) after each atom.
Space group Ia-3d (No. 230)
Unique sites:
1 Zn 0.0000 0.2500 0.1250 x24  8 O 2.37-2.55
2 Si 0.0000 0.2500 0.3750 x24  4 O 1.68
3 Sn 0.0000 0.0000 0.0000 x16  6 O 2.12
4 O 0.0365 0.0500 0.6603 x96  1 Si 1.68



A geometry-optimized SrSi2O5 structure, computed with GGA-PBE.

Summary:
energy relative to the elements	-3.22	eV/atom
calculated volume	679	Å³ per cell

a = 5.2940 Å, b = 9.3830 Å, c = 13.6694 Å
α = 90.00°, β = 90.00°, γ = 90.00°
With the nearest neighbours (Å) after each atom.
Space group Cmce (No. 64)
Unique sites:
1 Sr 0.0000 0.1607 0.0839 x8  11 O 2.66-2.83
2 Si 0.0000 0.0058 0.6385 x8  4 O 1.62-1.68
3 Si 0.0000 0.1738 0.8164 x8  4 O 1.72-1.87
4 O 0.0000 0.0118 0.7569 x8  2 Si 1.62-1.72
5 O 0.0000 0.1650 0.3974 x8  2 Si 1.68-1.87
6 O 0.2455 0.0899 0.9062 x16  1 Si 1.68
7 O 0.2500 0.2465 0.7500 x8  2 Si 1.74



A geometry-optimized Sr3SiO structure, computed with GGA-PBE.

Summary:
energy relative to the elements	-1.46	eV/atom
calculated volume	523	Å³ per cell

a = 7.2002 Å, b = 10.1526 Å, c = 7.1588 Å
α = 90.00°, β = 90.00°, γ = 90.00°
With the nearest neighbours (Å) after each atom.
Space group Pnma (No. 62)
Unique sites:
1 Sr 0.0115 0.2500 0.0651 x4  2 O 2.58
2 Sr 0.2185 0.0340 0.7180 x8  2 O 2.58
3 Si 0.0276 0.7500 0.4929 x4  6 Sr 3.18-3.47
4 O 0.0000 0.0000 0.0000 x4  6 Sr 2.58



A geometry-optimized Sr3Ta6Si4O26 structure, computed with GGA-PBE.

Summary:
energy relative to the elements	-3.42	eV/atom
calculated volume	547	Å³ per cell

a = 9.0351 Å, b = 9.0351 Å, c = 7.7419 Å
α = 90.00°, β = 90.00°, γ = 120.00°
With the nearest neighbours (Å) after each atom.
Space group P-62m (No. 189)
Unique sites:
1 Sr 0.0000 0.5970 0.0000 x3  10 O 2.76-3.01
2 Ta 0.0000 0.2385 0.2540 x6  6 O 1.94-2.06
3 Si 0.3333 0.6667 0.2907 x4  4 O 1.62-1.63
4 O 0.0000 0.2214 0.0000 x3  2 Ta 1.97
5 O 0.0000 0.2793 0.5000 x3  2 Ta 1.94
6 O 0.0000 0.8146 0.2654 x6  2 Ta 1.96
7 O 0.1770 0.4911 0.2088 x12  1 Si 1.63
8 O 0.3333 0.6667 0.5000 x2  2 Si 1.62



A geometry-optimized Sr12Ti4Si16O61 structure, computed with GGA-PBE.

Summary:
energy relative to the elements	-2.83	eV/atom
calculated volume	2639	Å³ per cell

a = 15.6128 Å, b = 15.4061 Å, c = 12.1362 Å
α = 90.00°, β = 115.29°, γ = 90.00°
With the nearest neighbours (Å) after each atom.
Space group Cm (No. 8)
Unique sites:
1 Sr 0.0000 0.0000 0.0000 x2  5 O 2.46-2.61
2 Sr 0.0014 0.5000 0.9997 x2  6 O 2.47-2.64
3 Sr 0.2104 0.2523 0.8243 x4  5 O 2.42-2.64
4 Sr 0.2281 0.2484 0.5163 x4  6 O 2.50-2.70
5 Sr 0.2820 0.5000 0.6649 x2  9 O 2.61-2.80
6 Sr 0.2864 0.0000 0.6702 x2  9 O 2.63-2.82
7 Sr 0.4241 0.2510 0.1498 x4  9 O 2.63-2.80
8 Sr 0.4810 0.0000 0.3034 x2  6 O 2.50-2.70
9 Sr 0.4823 0.5000 0.3078 x2  6 O 2.50-2.71
10 Ti 0.3544 0.1249 0.4087 x4  6 O 1.94-2.04
11 Ti 0.3554 0.3748 0.4119 x4  6 O 1.94-2.05
12 Si 0.0813 0.3936 0.6061 x4  4 O 1.61-1.67
13 Si 0.0818 0.1058 0.6135 x4  4 O 1.61-1.67
14 Si 0.1280 0.1433 0.2105 x4  4 O 1.61-1.67
15 Si 0.1283 0.3549 0.2130 x4  4 O 1.61-1.67
16 Si 0.2671 0.1024 0.1068 x4  4 O 1.60-1.67
17 Si 0.2680 0.3985 0.1117 x4  4 O 1.60-1.66
18 Si 0.4407 0.3499 0.7118 x4  4 O 1.62-1.66
19 Si 0.4431 0.1471 0.7099 x4  4 O 1.61-1.66
20 O 0.0254 0.1034 0.1810 x4  1 Si 1.61
21 O 0.0246 0.3936 0.1805 x4  1 Si 1.61
22 O 0.0434 0.2517 0.3889 x4  2 O 2.38-2.48, 1 Sr 2.63
23 O 0.0479 0.5000 0.8289 x2  2 O 2.28, 1 Sr 2.47
24 O 0.0489 0.1455 0.7180 x4  2 Si 1.66-1.67
25 O 0.0492 0.3500 0.7088 x4  2 Si 1.66-1.67
26 O 0.0937 0.5000 0.6218 x2  2 Si 1.65
27 O 0.0957 0.0000 0.6345 x2  2 Si 1.65
28 O 0.1146 0.2491 0.1900 x4  2 Si 1.65
29 O 0.1595 0.1039 0.1047 x4  2 Si 1.67
30 O 0.1614 0.3960 0.1100 x4  2 Si 1.66-1.67
31 O 0.1651 0.5000 0.4299 x2  2 O 2.44, 2 Sr 2.62-2.65
32 O 0.1667 0.0000 0.4334 x2  2 O 2.44, 2 Sr 2.62-2.68
33 O 0.1851 0.1454 0.6448 x4  1 Si 1.61
34 O 0.1853 0.3554 0.6390 x4  1 Si 1.61
35 O 0.2114 0.1261 0.3484 x4  1 Si 1.64
36 O 0.2114 0.3717 0.3510 x4  1 Si 1.64
37 O 0.2748 0.3437 0.0034 x4  1 Si 1.60
38 O 0.2780 0.1556 0.0004 x4  1 Si 1.60
39 O 0.2951 0.0000 0.1002 x2  2 Si 1.65
40 O 0.2970 0.5000 0.1027 x2  2 Si 1.64
41 O 0.3150 0.0000 0.9135 x2  1 O 2.41, 1 Sr 2.64
42 O 0.3156 0.5000 0.9111 x2  1 O 2.46, 1 Sr 2.61
43 O 0.3435 0.1380 0.2402 x4  1 Si 1.64
44 O 0.3465 0.3631 0.2438 x4  1 Si 1.64
45 O 0.3515 0.2500 0.4270 x4  2 Ti 1.94
46 O 0.3572 0.5000 0.3954 x2  2 Ti 1.94
47 O 0.3587 0.0000 0.3929 x2  2 Ti 1.94
48 O 0.3642 0.3875 0.5805 x4  1 Si 1.64
49 O 0.3650 0.1114 0.5776 x4  1 Si 1.64
50 O 0.3879 0.3004 0.9179 x4  2 O 2.28-2.49
51 O 0.4128 0.2485 0.7190 x4  2 Si 1.63-1.65
52 O 0.4312 0.4053 0.8196 x4  1 Si 1.62
53 O 0.4330 0.0952 0.8186 x4  1 Si 1.61
54 O 0.4981 0.1243 0.4680 x4  1 Si 1.65
55 O 0.4987 0.3771 0.4756 x4  1 Si 1.64



A geometry-optimized Sr4Ti5Si4O22 structure, computed with GGA-PBE.

Summary:
energy relative to the elements	-3.47	eV/atom
calculated volume	878	Å³ per cell

a = 14.1365 Å, b = 5.6828 Å, c = 12.0077 Å
α = 90.00°, β = 114.46°, γ = 90.00°
With the nearest neighbours (Å) after each atom.
Space group C2/m (No. 12)
Unique sites:
1 Sr 0.0462 0.0000 0.2396 x4  7 O 2.57-2.73
2 Sr 0.2349 0.0000 0.7673 x4  7 O 2.50-2.68
3 Ti 0.0000 0.2424 0.5000 x4  6 O 1.89-2.00
4 Ti 0.0000 0.5000 0.0000 x2  6 O 1.94-2.04
5 Ti 0.2255 0.5000 0.4992 x4  5 O 1.85-1.96
6 Si 0.0943 0.5000 0.7706 x4  4 O 1.63-1.65
7 Si 0.1575 0.0000 0.0465 x4  4 O 1.59-1.68
8 O 0.0307 0.5000 0.8572 x4  1 Si 1.63
9 O 0.0631 0.2652 0.6822 x8  1 Si 1.65
10 O 0.0920 0.0000 0.5000 x4  2 Ti 1.89
11 O 0.0952 0.5000 0.5010 x4  3 Ti 1.85-1.99
12 O 0.1058 0.2394 0.0818 x8  1 Si 1.68
13 O 0.1467 0.0000 0.9094 x4  1 Si 1.59
14 O 0.2081 0.2502 0.3821 x8  2 Ti 1.94-1.96
15 O 0.2213 0.5000 0.8448 x4  2 Si 1.64-1.67



Among the records above, which one has the highest energy relative to the elements?
Sr3SiO



Which of these has the lowest energy relative to the elements?
Sr4Ti5Si4O22